a | Density functional theory data (PBE) for crystalline Ba3Na at its relaxed geometry.

Cell lengths 6.208, 6.208, 6.208 Å; angles 90.00, 90.00, 90.00 degrees
Space group Pm-3m (No. 221)
One atom of each set of equivalent atoms:
Ba (0.000, 0.000, 0.500)
Na (0.500, 0.500, 0.500)

Its crystal system is cubic.


b | Density functional theory data (PBE) for crystalline Ba3Na at its relaxed geometry.

Cell lengths 5.963, 5.963, 13.253 Å; angles 90.00, 90.00, 90.00 degrees
Space group I4/mmm (No. 139)
One atom of each set of equivalent atoms:
Ba (0.000, 0.000, 0.000)
Ba (0.000, 0.500, 0.250)
Na (0.000, 0.000, 0.500)

Its crystal system is tetragonal.


So which one is most stable? That would be a, about 20 meV per atom below the next structure.


a | Density functional theory data (PBE) for crystalline BaNaPrSbO6 at its relaxed geometry.

Cell lengths 8.680, 8.680, 8.680 Å; angles 90.00, 90.00, 90.00 degrees
Space group F-43m (No. 216)
One atom of each set of equivalent atoms:
Ba (0.000, 0.000, 0.000)
Na (0.000, 0.000, 0.500)
Pr (0.250, 0.250, 0.250)
Sb (0.250, 0.250, 0.750)
O (0.019, 0.250, 0.750)

Its crystal system is cubic.


b | Density functional theory data (PBE) for crystalline BaNaPrSbO6 at its relaxed geometry.

Cell lengths 8.612, 8.677, 8.677 Å; angles 90.00, 90.00, 90.00 degrees
Space group Pnnn (No. 48, origin choice 2)
One atom of each set of equivalent atoms:
Ba (0.250, 0.250, 0.250)
Ba (0.250, 0.750, 0.250)
Na (0.250, 0.250, 0.750)
Na (0.250, 0.750, 0.750)
Pr (0.000, 0.000, 0.000)
Sb (0.000, 0.000, 0.500)
O (0.017, 0.029, 0.729)
O (0.026, 0.729, 0.974)
O (0.230, 0.021, 0.469)

Its crystal system is orthorhombic.


So which one is most stable? That would be b, about 6 meV per atom below the next structure.